First-principles (PBE) data for a relaxed MgCr crystal, as listed in the Materials Project.

Results
**Total magnetic moment**: 3.83 μB per formula unit
**E above lowest polymorph**: 0 meV/atom
**SG**: Pm-3m
**ΔH_f (0 K)**: 575 meV per atom
**Uncorrected energy**: -5.05 eV per atom

extended XYZ file:
```
2
Lattice="3.326 0.000 0.000 0.000 3.326 0.000 0.000 0.000 3.326" Properties=species:S:1:pos:R:3 pbc="T T T"
Mg 1.663 1.663 1.663
Cr 0.000 0.000 0.000
```

---

First-principles (PBE) data for a relaxed Rb2UPd3Se6 crystal, as listed in the Materials Project.

Results
**MP2020-corrected energy**: -126.0 eV for the cell shown
**Total magnetic moment**: 2.00 μB per formula unit
**SG**: Fmmm
**ΔH_f (0 K)**: -1103 meV per atom
**Uncorrected energy**: -5.01 eV per atom

extended XYZ file:
```
24
Lattice="-9.368 -6.920 -1.539 -9.291 0.539 4.028 -5.852 0.722 -7.203" Properties=species:S:1:pos:R:3 pbc="T T T"
Rb -18.383 -4.244 -3.536
Rb -6.128 -1.415 -1.179
Rb -11.112 -1.529 0.107
Rb -13.400 -4.130 -4.822
U -16.505 -5.186 0.859
U -8.006 -0.473 -5.573
Pd -9.236 -3.043 -3.646
Pd -13.359 -5.330 -0.525
Pd -15.275 -2.616 -1.068
Pd -11.152 -0.329 -4.189
Pd -10.339 -5.545 -1.814
Pd -14.172 -0.114 -2.900
Se -19.088 -4.880 -0.219
Se -16.944 -4.651 -6.644
Se -16.030 -1.734 -3.298
Se -21.473 -5.713 -3.981
Se -5.424 -0.779 -4.495
Se -7.567 -1.008 1.929
Se -8.481 -3.925 -1.416
Se -3.039 0.053 -0.733
Se -15.499 -5.006 -1.792
Se -9.012 -0.653 -2.922
Se -10.311 -2.129 -5.719
Se -14.200 -3.530 1.005
```

---

First-principles (PBE) data for a relaxed ReN2 crystal, as listed in the Materials Project.

Results
**MP2020-corrected energy**: -55.8 eV for the cell shown
**Total magnetic moment**: 0.01 μB per formula unit
**SG**: P4/mbm
**ΔH_f (0 K)**: 414 meV per atom
**Uncorrected energy**: -9.05 eV per atom

extended XYZ file:
```
6
Lattice="-3.863 -1.020 1.819 1.840 -3.469 1.962 0.598 1.518 2.122" Properties=species:S:1:pos:R:3 pbc="T T T"
Re -0.712 -1.486 2.952
Re 0.299 0.759 1.061
N 0.689 -2.248 1.414
N -2.712 -2.241 2.368
N -0.744 -3.699 2.855
N -1.279 -0.790 0.926
```

---

First-principles (PBE) data for a relaxed HfNbP crystal, as listed in the Materials Project.

Results
**SG**: Pnma
**ΔH_f (0 K)**: -1025 meV per atom
**Uncorrected energy**: -9.52 eV per atom

extended XYZ file:
```
12
Lattice="3.541 0.000 0.000 0.000 6.889 0.000 0.000 0.000 8.322" Properties=species:S:1:pos:R:3 pbc="T T T"
Hf 0.885 0.227 5.557
Hf 0.885 3.671 6.925
Hf 2.656 3.217 1.396
Hf 2.656 6.662 2.765
Nb 2.656 5.913 7.820
Nb 0.885 4.420 3.659
Nb 2.656 2.468 4.663
Nb 0.885 0.976 0.502
P 0.885 1.808 2.961
P 0.885 5.253 1.200
P 2.656 5.080 5.361
P 2.656 1.636 7.122
```

---

First-principles (PBE) data for a relaxed Tl3PbCl5 crystal, as listed in the Materials Project.

Results
**MP2020-corrected energy**: -130.6 eV for the cell shown
**SG**: P4_1
**ΔH_f (0 K)**: -1400 meV per atom
**Uncorrected energy**: -3.29 eV per atom

extended XYZ file:
```
36
Lattice="-6.131 -0.964 -6.023 -3.248 -6.713 4.380 -9.005 9.361 7.669" Properties=species:S:1:pos:R:3 pbc="T T T"
Tl -15.986 1.160 3.764
Tl -4.900 -6.309 3.644
Tl -10.012 4.384 -0.574
Tl -3.429 1.596 3.140
Tl -7.827 -2.882 3.895
Tl -7.404 2.741 4.945
Tl -7.783 -4.381 -1.642
Tl -11.862 5.924 3.243
Tl -11.071 -1.843 0.546
Tl -10.535 -0.362 6.785
Tl -5.701 -0.187 -2.588
Tl -9.668 5.975 7.486
Pb -13.298 3.204 6.951
Pb -4.728 -2.243 1.409
Pb -11.717 1.912 2.967
Pb -7.650 1.146 1.259
Cl -9.252 3.807 2.487
Cl -14.238 3.836 4.016
Cl -6.067 -0.155 3.647
Cl -6.550 -4.807 1.340
Cl -4.171 -2.753 -1.233
Cl -7.840 -1.384 0.205
Cl -10.729 3.260 5.979
Cl -9.895 -0.051 3.582
Cl -12.899 4.493 0.381
Cl -16.808 1.676 6.648
Cl -5.326 3.907 2.572
Cl -4.732 -3.591 5.004
Cl -12.878 1.122 8.830
Cl -2.153 -1.272 2.093
Cl -13.591 0.212 1.686
Cl -7.369 2.499 -1.217
Cl -4.818 0.593 0.408
Cl -10.491 1.313 0.285
Cl -12.014 4.656 9.251
Cl -13.185 0.695 5.294
```

---

First-principles (PBE) data for a relaxed Na3YSiSnP2O12 crystal, as listed in the Materials Project.

Results
**MP2020-corrected energy**: -584.1 eV for the cell shown
**Total magnetic moment**: 0.00 μB per formula unit
**E above lowest polymorph**: 5 meV/atom
**ΔH_f (0 K)**: -2797 meV per atom
**Uncorrected energy**: -6.89 eV per atom

extended XYZ file:
```
80
Lattice="-11.502 10.418 3.573 -6.236 -6.855 -0.085 5.127 -4.740 6.201" Properties=species:S:1:pos:R:3 pbc="T T T"
Na -7.429 -2.372 0.863
Na -10.893 0.163 5.746
Na -10.062 6.265 2.692
Na -2.024 -1.618 4.002
Na -2.461 1.083 6.534
Na -10.191 -2.226 3.363
Na 0.172 -7.554 4.705
Na -1.322 -4.008 1.619
Na -6.287 -5.851 2.417
Na 1.528 -2.448 5.589
Na -8.920 2.785 4.246
Na -7.341 -0.667 7.333
Y -2.970 -6.699 3.819
Y -2.459 -0.949 0.761
Y -5.603 1.938 5.648
Y -11.328 0.833 2.504
Si -9.204 -2.868 6.884
Si -6.899 4.854 3.850
Si -0.335 -4.650 5.140
Si -4.266 -3.783 2.021
Sn -10.230 -0.298 8.996
Sn -9.581 5.604 5.939
Sn -1.362 -2.079 7.252
Sn -6.948 -3.032 4.110
P -13.532 0.242 8.136
P -10.420 8.851 5.112
P -4.663 -1.539 6.392
P -7.787 0.215 3.283
P -5.873 -6.126 5.846
P -3.329 1.860 2.815
P -8.506 2.511 7.675
P -12.198 3.641 4.559
O -1.443 -5.829 5.161
O -9.559 1.332 7.670
O -11.124 4.800 4.583
O -3.197 -2.569 2.072
O -4.076 2.807 6.990
O -0.690 -0.449 5.927
O -8.491 -3.837 2.754
O -12.066 -0.788 3.815
O -5.412 -2.058 5.116
O -5.090 -2.297 7.638
O -7.089 0.694 4.545
O -7.325 1.027 2.024
O -8.045 6.579 6.945
O 3.779 -4.078 5.894
O -4.456 -7.943 2.716
O -16.194 2.808 3.768
O -4.504 -6.717 5.481
O -9.733 -1.344 7.301
O -8.472 5.231 4.252
O -2.607 0.557 2.441
O -7.137 1.920 7.310
O -0.864 -3.125 5.557
O -5.839 -3.406 2.423
O -11.475 2.339 4.185
O -6.463 -5.105 4.783
O -8.008 -3.292 7.859
O -6.376 3.690 4.815
O -4.388 2.365 1.745
O -9.096 3.532 6.612
O 0.861 -5.073 6.115
O -3.744 -4.947 2.986
O -13.256 4.146 3.489
O -5.799 -5.501 7.227
O -8.528 -2.642 5.350
O -7.042 4.181 2.305
O -3.961 1.708 4.186
O -8.432 3.136 9.056
O 0.340 -4.423 3.607
O -4.409 -4.456 0.476
O -12.830 3.489 5.930
O -2.362 -8.682 4.807
O -11.997 0.122 7.854
O -10.152 7.338 4.814
O -0.439 -1.381 1.767
O -4.995 -0.046 6.636
O -3.128 -1.659 6.110
O -7.519 -1.298 2.985
O -9.308 0.401 3.511
```

---

First-principles (PBE) data for a relaxed ScSb3Pb4O13 crystal, as listed in the Materials Project.

Results
**MP2020-corrected energy**: -141.5 eV for the cell shown
**Total magnetic moment**: 0.00 μB per formula unit
**SG**: R3m
**ΔH_f (0 K)**: -2074 meV per atom
**Uncorrected energy**: -6.31 eV per atom

extended XYZ file:
```
21
Lattice="6.563 -3.790 0.000 6.563 3.790 0.000 4.374 0.000 6.188" Properties=species:S:1:pos:R:3 pbc="T T T"
Sc 8.741 0.000 3.091
Sb 5.468 1.890 3.091
Sb 6.559 0.000 0.005
Sb 5.468 -1.890 3.091
Pb 17.487 0.000 6.184
Pb 14.228 1.884 6.185
Pb 15.316 0.000 3.109
Pb 14.228 -1.884 6.185
O 10.140 -1.555 2.634
O 11.773 1.506 5.086
O 9.242 0.000 5.172
O 12.643 0.000 2.627
O 11.773 -1.506 5.086
O 10.140 1.555 2.634
O 7.355 1.532 3.540
O 5.738 -1.492 1.115
O 8.240 0.000 1.037
O 4.876 0.000 3.552
O 5.738 1.492 1.115
O 7.355 -1.532 3.540
O 2.170 0.000 0.768
```

---

First-principles (PBE) data for a relaxed La2Sn4Ru crystal, as listed in the Materials Project.

Results
**Total magnetic moment**: 0.00 μB per formula unit
**SG**: P1
**ΔH_f (0 K)**: -585 meV per atom
**Uncorrected energy**: -5.61 eV per atom

extended XYZ file:
```
7
Lattice="-1.652 4.136 1.472 -1.475 -2.029 4.045 6.840 0.725 5.632" Properties=species:S:1:pos:R:3 pbc="T T T"
La -0.334 -0.641 5.160
La 4.040 3.467 6.005
Sn 5.035 0.598 7.704
Sn -0.847 2.344 3.674
Sn 2.470 0.855 4.107
Sn 0.912 1.901 6.879
Ru 2.748 0.071 6.608
```

---

First-principles (PBE) data for a relaxed Li4Cu4Cl10O crystal, as listed in the Materials Project.

Results
**MP2020-corrected energy**: -133.9 eV for the cell shown
**Total magnetic moment**: 2.00 μB per formula unit
**SG**: C2/c
**ΔH_f (0 K)**: -1026 meV per atom
**Uncorrected energy**: -3.49 eV per atom

extended XYZ file:
```
38
Lattice="-10.360 -0.593 0.605 -1.481 -4.100 -9.437 -0.926 -7.275 1.722" Properties=species:S:1:pos:R:3 pbc="T T T"
Li -11.005 -6.065 -5.611
Li -9.609 -10.437 -6.853
Li -7.411 -6.002 -6.104
Li -9.405 -9.035 -3.512
Li -3.363 -2.932 -3.598
Li -5.357 -5.965 -1.005
Li -3.159 -1.530 -0.257
Li -1.762 -5.902 -1.499
Cu -8.871 -4.708 -2.407
Cu -10.250 -2.132 -1.351
Cu -5.812 -9.736 -5.531
Cu -4.241 -8.326 -7.809
Cu -8.527 -3.641 0.700
Cu -6.956 -2.230 -1.579
Cu -2.518 -9.835 -5.759
Cu -3.896 -7.259 -4.702
Cl -9.884 -3.912 -6.318
Cl -11.076 -4.677 -2.088
Cl -9.367 -7.936 -6.565
Cl -5.899 -10.543 -7.606
Cl -6.823 -3.328 -6.501
Cl -5.201 -6.304 -7.201
Cl -8.801 -6.367 -3.927
Cl -10.127 -8.179 -1.293
Cl -10.560 -2.424 1.000
Cl -6.904 -3.868 -3.135
Cl -5.864 -8.099 -3.974
Cl -2.207 -9.543 -8.110
Cl -2.641 -3.788 -5.816
Cl -3.967 -5.600 -3.183
Cl -7.567 -5.662 0.092
Cl -5.945 -8.639 -0.608
Cl -6.868 -1.424 0.496
Cl -3.401 -4.031 -0.544
Cl -1.692 -7.290 -5.021
Cl -2.884 -8.055 -0.791
O -8.660 -3.174 -1.149
O -4.108 -8.793 -5.961
```

---

First-principles (PBE) data for a relaxed Pa3Re crystal, as listed in the Materials Project.

Results
**Total magnetic moment**: 0.01 μB per formula unit
**E above lowest polymorph**: 0 meV/atom
**SG**: P6_3/mmc
**ΔH_f (0 K)**: 182 meV per atom
**Uncorrected energy**: -10.07 eV per atom

extended XYZ file:
```
8
Lattice="3.100 -5.369 0.000 3.100 5.369 0.000 0.000 0.000 5.400" Properties=species:S:1:pos:R:3 pbc="T T T"
Pa 1.641 0.947 1.350
Pa 4.558 0.947 1.350
Pa 3.100 3.474 1.350
Pa 4.558 -0.947 4.050
Pa 1.641 -0.947 4.050
Pa 3.100 -3.474 4.050
Re 3.100 1.790 4.050
Re 3.100 -1.790 1.350
```

---

First-principles (PBE) data for a relaxed Sr6Tl3Cu3O16 crystal, as listed in the Materials Project.

Results
**MP2020-corrected energy**: -152.8 eV for the cell shown
**Total magnetic moment**: 0.07 μB per formula unit
**SG**: C2/m
**ΔH_f (0 K)**: -1575 meV per atom
**Uncorrected energy**: -5.37 eV per atom

extended XYZ file:
```
28
Lattice="-5.563 -4.135 4.737 -4.371 -7.166 0.111 3.370 -7.772 5.961" Properties=species:S:1:pos:R:3 pbc="T T T"
Sr -0.220 -8.473 5.497
Sr -3.571 -12.237 7.100
Sr -6.874 -16.034 8.737
Sr -2.993 -6.835 3.709
Sr -6.345 -10.599 5.312
Sr 0.309 -3.039 2.071
Tl -6.771 -7.704 3.305
Tl 0.000 0.000 0.000
Tl 0.207 -11.369 7.504
Cu -3.282 -9.536 5.404
Cu -6.591 -13.311 7.026
Cu 0.026 -5.762 3.783
O -1.509 -10.616 6.569
O -4.802 -14.362 8.176
O 1.801 -6.830 4.940
O -5.056 -8.457 4.240
O -8.366 -12.243 5.869
O -1.763 -4.711 2.633
O -2.150 -9.351 3.850
O -1.097 -5.953 5.349
O -4.414 -9.722 6.959
O -2.744 -7.840 6.156
O -0.501 -7.469 3.036
O -3.820 -11.233 4.653
O -1.680 -1.914 0.822
O -4.885 -17.158 9.987
O -5.110 -5.286 2.979
O -4.824 -6.015 1.868
```

---

First-principles (PBE) data for a relaxed CuSO9 crystal, as listed in the Materials Project.

Results
**Total magnetic moment**: 2.00 μB per formula unit
**SG**: P-1
**ΔH_f (0 K)**: -330 meV per atom
**Uncorrected energy**: -5.13 eV per atom

extended XYZ file:
```
22
Lattice="1.898 0.315 4.176 3.086 4.920 -1.240 -10.174 4.886 4.417" Properties=species:S:1:pos:R:3 pbc="T T T"
Cu 0.000 0.000 0.000
Cu -3.544 4.903 1.589
S -2.082 1.640 2.559
S -3.107 8.481 4.794
O 1.447 5.374 0.626
O -6.637 4.747 6.728
O -2.307 2.828 1.766
O -2.883 7.293 5.587
O -0.955 5.994 1.849
O -4.235 4.127 5.505
O -1.778 1.798 3.950
O -3.412 8.323 3.404
O 3.551 4.046 1.984
O -8.741 6.075 5.370
O 1.237 1.794 3.206
O -6.427 8.327 4.147
O -1.985 4.995 3.876
O -3.205 5.126 3.478
O -1.858 5.762 0.958
O -3.332 4.359 6.396
O 1.084 2.082 1.843
O -6.274 8.039 5.511
```

---

- Among the records above, which one has the highest uncorrected energy?
  Tl3PbCl5

---

- Among the records above, which one has the highest uncorrected energy?
  Tl3PbCl5

---

- Which value of uncorrected energy does entry 6 give?
  -6.89 eV per atom